Density functional theory data (PBE) for a relaxed MgV2N2 crystal.

CIF file:
```
data_MgV2N2
_symmetry_space_group_name_H-M 'P 1'
_symmetry_Int_Tables_number 1
_cell_length_a 3.109
_cell_length_b 3.109
_cell_length_c 7.174
_cell_angle_alpha 90.00
_cell_angle_beta 90.00
_cell_angle_gamma 90.00
loop_
_symmetry_equiv_pos_as_xyz
'x,y,z'
loop_
_atom_site_label
_atom_site_fract_x
_atom_site_fract_y
_atom_site_fract_z
_atom_site_occupancy
Mg1 0.000 0.000 0.000 1
V1 0.500 0.500 0.329 1
V2 0.500 0.500 0.671 1
N1 0.000 0.500 0.810 1
N2 0.500 0.000 0.190 1
```

## Properties
Formation energy, kJ/mol of atoms: -46.7
Final energy, eV for the cell shown: -38.14
M_tot, μB/cell: 0.02

Density functional theory data (PBE) for a relaxed Zn5Si2N6 crystal.

CIF file:
```
data_Zn5Si2N6
_symmetry_space_group_name_H-M 'P 1'
_symmetry_Int_Tables_number 1
_cell_length_a 5.239
_cell_length_b 5.239
_cell_length_c 13.360
_cell_angle_alpha 92.22
_cell_angle_beta 92.22
_cell_angle_gamma 64.56
loop_
_symmetry_equiv_pos_as_xyz
'x,y,z'
loop_
_atom_site_label
_atom_site_fract_x
_atom_site_fract_y
_atom_site_fract_z
_atom_site_occupancy
Zn1 0.043 0.957 0.750 1
Zn2 0.121 0.650 0.462 1
Zn3 0.290 0.426 0.273 1
Zn4 0.350 0.879 0.038 1
Zn5 0.426 0.290 0.773 1
Zn6 0.574 0.710 0.227 1
Zn7 0.650 0.121 0.962 1
Zn8 0.710 0.574 0.727 1
Zn9 0.879 0.350 0.538 1
Zn10 0.957 0.043 0.250 1
Si1 0.044 0.532 0.093 1
Si2 0.468 0.956 0.407 1
Si3 0.532 0.044 0.593 1
Si4 0.956 0.468 0.907 1
N1 0.051 0.593 0.803 1
N2 0.216 0.730 0.141 1
N3 0.232 0.278 0.997 1
N4 0.270 0.784 0.359 1
N5 0.278 0.232 0.497 1
N6 0.407 0.949 0.697 1
N7 0.593 0.051 0.303 1
N8 0.722 0.768 0.503 1
N9 0.730 0.216 0.641 1
N10 0.768 0.722 0.003 1
N11 0.784 0.270 0.859 1
N12 0.949 0.407 0.197 1
```

## Properties
Formation energy, kJ/mol of atoms: -42.4
Energy above the most stable polymorph in this dataset, eV per atom: 0.0000
Final energy, eV for the cell shown: -141.42
M_tot, μB/cell: 0.00

Density functional theory data (PBE) for a relaxed Li3Au crystal.

CIF file:
```
data_Li3Au
_symmetry_space_group_name_H-M 'P 1'
_symmetry_Int_Tables_number 1
_cell_length_a 4.458
_cell_length_b 4.458
_cell_length_c 4.458
_cell_angle_alpha 60.00
_cell_angle_beta 60.00
_cell_angle_gamma 60.00
loop_
_symmetry_equiv_pos_as_xyz
'x,y,z'
loop_
_atom_site_label
_atom_site_fract_x
_atom_site_fract_y
_atom_site_fract_z
_atom_site_occupancy
Li1 0.000 0.000 0.000 1
Li2 0.250 0.250 0.250 1
Li3 0.750 0.750 0.750 1
Au1 0.500 0.500 0.500 1
```

## Properties
Formation energy, kJ/mol of atoms: -39.3
Final energy, eV for the cell shown: -10.63